1.
TeI4 | PBE | optimized geometry

Unit cell a=15.924 b=4.369 c=7.373 alpha=90.00 beta=115.10 gamma=90.00
Space group C2/m (No. 12)
Asymmetric unit:
Te1 0.000 0.000 0.000 [2 per cell]
I1 0.118 0.500 0.288 [4 per cell]
I2 0.124 0.000 0.806 [4 per cell]

Its energy relative to the lowest polymorph listed for this composition is 102 meV per atom. As for the total DFT energy (no corrections): -18.68 eV for the cell shown. For the formation energy, the calculation gives -1.62 eV/f.u. The value obtained for the density is 4.54 Mg/m³.

=====

2.
BaRe3Se4O7 | PBE | optimized geometry

Unit cell a=8.705 b=9.038 c=9.227 alpha=70.41 beta=63.96 gamma=79.39
Space group P-1 (No. 2)
Asymmetric unit:
Ba1 0.173 0.137 0.244 [2 per cell]
Re1 0.317 0.683 0.505 [2 per cell]
Re2 0.377 0.337 0.480 [2 per cell]
Re3 0.379 0.468 0.770 [2 per cell]
Se1 0.135 0.448 0.701 [2 per cell]
Se2 0.269 0.757 0.775 [2 per cell]
Se3 0.310 0.573 0.277 [2 per cell]
Se4 0.432 0.183 0.738 [2 per cell]
O1 0.008 0.871 0.161 [2 per cell]
O2 0.050 0.742 0.881 [2 per cell]
O3 0.145 0.835 0.500 [2 per cell]
O4 0.167 0.890 0.095 [2 per cell]
O5 0.288 0.428 0.993 [2 per cell]
O6 0.357 0.189 0.406 [2 per cell]
O7 0.475 0.020 0.073 [2 per cell]

As for the total DFT energy (no corrections): -197.60 eV for the cell shown. For the formation energy, the calculation gives -12.05 eV/f.u. The value obtained for the density is 6.08 Mg/m³.

=====

3.
Na4Sn2Ge5HO16 | PBE | optimized geometry

Unit cell a=7.055 b=5.451 c=21.259 alpha=90.00 beta=106.06 gamma=90.00
Space group P2/c (No. 13)
Asymmetric unit:
Na1 0.108 0.244 0.472 [4 per cell]
Na2 0.250 0.011 0.792 [4 per cell]
Sn1 0.386 0.240 0.089 [4 per cell]
Ge1 0.153 0.245 0.635 [4 per cell]
Ge2 0.315 0.283 0.925 [4 per cell]
Ge3 0.500 0.497 0.750 [2 per cell]
H1 0.000 0.335 0.250 [2 per cell]
O1 0.090 0.279 0.854 [4 per cell]
O2 0.156 0.061 0.113 [4 per cell]
O3 0.191 0.455 0.577 [4 per cell]
O4 0.243 0.159 0.991 [4 per cell]
O5 0.296 0.293 0.718 [4 per cell]
O6 0.382 0.405 0.437 [4 per cell]
O7 0.460 0.320 0.313 [4 per cell]
O8 0.467 0.096 0.891 [4 per cell]

As for the total DFT energy (no corrections): -326.99 eV for the cell shown. For the formation energy, the calculation gives -55.50 eV/f.u. The value obtained for the density is 4.01 Mg/m³.

=====

4.
HgH3CSO3 | PBE | optimized geometry

Unit cell a=14.729 b=8.930 c=9.004 alpha=90.00 beta=124.25 gamma=90.00
Space group C2/c (No. 15)
Asymmetric unit:
Hg1 0.104 0.168 0.316 [8 per cell]
H1 0.045 0.315 0.644 [8 per cell]
H2 0.130 0.359 0.883 [8 per cell]
H3 0.167 0.206 0.794 [8 per cell]
C1 0.128 0.317 0.767 [8 per cell]
S1 0.207 0.445 0.731 [8 per cell]
O1 0.142 0.418 0.155 [8 per cell]
O2 0.185 0.037 0.101 [8 per cell]
O3 0.220 0.368 0.592 [8 per cell]

As for the total DFT energy (no corrections): -356.53 eV for the cell shown. For the formation energy, the calculation gives -7.94 eV/f.u. The value obtained for the density is 4.01 Mg/m³.

=====

5.
K2LiNb6P3O24 | PBE | optimized geometry

Unit cell a=8.530 b=10.496 c=13.460 alpha=90.04 beta=90.02 gamma=113.38
Space group P1 (No. 1)
Asymmetric unit:
K1 0.000 0.000 0.000 [1 per cell]
K2 0.102 0.639 0.462 [1 per cell]
K3 0.495 0.442 0.948 [1 per cell]
K4 0.711 0.145 0.462 [1 per cell]
Li1 0.826 0.813 0.303 [1 per cell]
Li2 0.985 0.470 0.803 [1 per cell]
Nb1 0.054 0.295 0.241 [1 per cell]
Nb2 0.057 0.801 0.741 [1 per cell]
Nb3 0.244 0.195 0.462 [1 per cell]
Nb4 0.252 0.703 0.963 [1 per cell]
Nb5 0.368 0.134 0.207 [1 per cell]
Nb6 0.377 0.642 0.706 [1 per cell]
Nb7 0.437 0.644 0.207 [1 per cell]
Nb8 0.442 0.149 0.706 [1 per cell]
Nb9 0.559 0.579 0.463 [1 per cell]
Nb10 0.565 0.087 0.962 [1 per cell]
Nb11 0.754 0.483 0.240 [1 per cell]
Nb12 0.760 0.992 0.742 [1 per cell]
P1 0.129 0.280 0.691 [1 per cell]
P2 0.130 0.780 0.191 [1 per cell]
P3 0.682 0.004 0.192 [1 per cell]
P4 0.682 0.503 0.691 [1 per cell]
P5 0.906 0.392 0.027 [1 per cell]
P6 0.906 0.892 0.527 [1 per cell]
O1 0.040 0.494 0.956 [1 per cell]
O2 0.046 0.999 0.461 [1 per cell]
O3 0.091 0.255 0.373 [1 per cell]
O4 0.092 0.754 0.872 [1 per cell]
O5 0.115 0.749 0.079 [1 per cell]
O6 0.116 0.250 0.578 [1 per cell]
O7 0.160 0.434 0.711 [1 per cell]
O8 0.168 0.937 0.205 [1 per cell]
O9 0.196 0.698 0.681 [1 per cell]
O10 0.199 0.201 0.179 [1 per cell]
O11 0.252 0.468 0.227 [1 per cell]
O12 0.253 0.969 0.727 [1 per cell]
O13 0.271 0.745 0.240 [1 per cell]
O14 0.274 0.247 0.739 [1 per cell]
O15 0.335 0.629 0.857 [1 per cell]
O16 0.342 0.134 0.357 [1 per cell]
O17 0.378 0.653 0.066 [1 per cell]
O18 0.381 0.157 0.566 [1 per cell]
O19 0.405 0.392 0.456 [1 per cell]
O20 0.406 0.893 0.957 [1 per cell]
O21 0.430 0.627 0.566 [1 per cell]
O22 0.432 0.129 0.066 [1 per cell]
O23 0.472 0.153 0.857 [1 per cell]
O24 0.476 0.652 0.356 [1 per cell]
O25 0.538 0.038 0.239 [1 per cell]
O26 0.540 0.538 0.740 [1 per cell]
O27 0.559 0.315 0.227 [1 per cell]
O28 0.559 0.816 0.726 [1 per cell]
O29 0.612 0.082 0.679 [1 per cell]
O30 0.613 0.584 0.181 [1 per cell]
O31 0.642 0.348 0.707 [1 per cell]
O32 0.651 0.850 0.211 [1 per cell]
O33 0.697 0.033 0.079 [1 per cell]
O34 0.698 0.537 0.578 [1 per cell]
O35 0.720 0.028 0.874 [1 per cell]
O36 0.723 0.533 0.372 [1 per cell]
O37 0.763 0.287 0.961 [1 per cell]
O38 0.773 0.790 0.454 [1 per cell]
O39 0.822 0.970 0.591 [1 per cell]
O40 0.824 0.471 0.092 [1 per cell]
O41 0.854 0.094 0.243 [1 per cell]
O42 0.856 0.586 0.743 [1 per cell]
O43 0.906 0.893 0.777 [1 per cell]
O44 0.907 0.392 0.277 [1 per cell]
O45 0.957 0.189 0.741 [1 per cell]
O46 0.957 0.698 0.245 [1 per cell]
O47 0.987 0.811 0.591 [1 per cell]
O48 0.989 0.314 0.091 [1 per cell]

As for the total DFT energy (no corrections): -577.31 eV for the cell shown. For the formation energy, the calculation gives -105.41 eV/f.u. The value obtained for the density is 3.36 Mg/m³.

=====

6.
K3GaTe3 | PBE | optimized geometry

Unit cell a=8.733 b=13.909 c=11.406 alpha=90.00 beta=127.57 gamma=90.00
Space group P2_1/c (No. 14)
Asymmetric unit:
K1 0.123 0.189 0.409 [4 per cell]
K2 0.336 0.594 0.100 [4 per cell]
K3 0.364 0.616 0.524 [4 per cell]
Ga1 0.066 0.564 0.666 [4 per cell]
Te1 0.132 0.054 0.731 [4 per cell]
Te2 0.165 0.111 0.129 [4 per cell]
Te3 0.358 0.686 0.816 [4 per cell]

As for the total DFT energy (no corrections): -87.70 eV for the cell shown. For the formation energy, the calculation gives -7.40 eV/f.u. The value obtained for the density is 3.45 Mg/m³.

=====

7.
NdAgH18C20N6O12 | PBE | optimized geometry

Unit cell a=7.116 b=12.319 c=14.756 alpha=80.14 beta=76.78 gamma=83.91
Space group P-1 (No. 2)
Asymmetric unit:
Nd1 0.167 0.018 0.196 [2 per cell]
Ag1 0.265 0.423 0.510 [2 per cell]
H1 0.057 0.101 0.891 [2 per cell]
H2 0.099 0.723 0.711 [2 per cell]
H3 0.126 0.394 0.751 [2 per cell]
H4 0.146 0.848 0.058 [2 per cell]
H5 0.151 0.065 0.533 [2 per cell]
H6 0.153 0.711 0.420 [2 per cell]
H7 0.179 0.436 0.150 [2 per cell]
H8 0.186 0.831 0.892 [2 per cell]
H9 0.248 0.752 0.214 [2 per cell]
H10 0.297 0.905 0.802 [2 per cell]
H11 0.306 0.640 0.878 [2 per cell]
H12 0.310 0.286 0.898 [2 per cell]
H13 0.347 0.828 0.675 [2 per cell]
H14 0.371 0.442 0.262 [2 per cell]
H15 0.414 0.078 0.843 [2 per cell]
H16 0.417 0.799 0.249 [2 per cell]
H17 0.425 0.768 0.388 [2 per cell]
H18 0.432 0.079 0.947 [2 per cell]
C1 0.078 0.703 0.645 [2 per cell]
C2 0.106 0.697 0.496 [2 per cell]
C3 0.217 0.654 0.065 [2 per cell]
C4 0.218 0.445 0.073 [2 per cell]
C5 0.222 0.237 0.087 [2 per cell]
C6 0.241 0.550 0.019 [2 per cell]
C7 0.243 0.350 0.030 [2 per cell]
C8 0.253 0.127 0.687 [2 per cell]
C9 0.261 0.435 0.724 [2 per cell]
C10 0.286 0.106 0.514 [2 per cell]
C11 0.289 0.559 0.921 [2 per cell]
C12 0.290 0.360 0.932 [2 per cell]
C13 0.313 0.464 0.879 [2 per cell]
C14 0.322 0.075 0.347 [2 per cell]
C15 0.355 0.145 0.584 [2 per cell]
C16 0.367 0.790 0.535 [2 per cell]
C17 0.393 0.118 0.421 [2 per cell]
C18 0.431 0.832 0.603 [2 per cell]
C19 0.474 0.800 0.442 [2 per cell]
C20 0.484 0.479 0.282 [2 per cell]
N1 0.047 0.355 0.456 [2 per cell]
N2 0.066 0.352 0.361 [2 per cell]
N3 0.192 0.735 0.558 [2 per cell]
N4 0.349 0.457 0.635 [2 per cell]
N5 0.361 0.474 0.778 [2 per cell]
N6 0.489 0.488 0.370 [2 per cell]
O1 0.079 0.915 0.088 [2 per cell]
O2 0.105 0.072 0.706 [2 per cell]
O3 0.145 0.056 0.361 [2 per cell]
O4 0.170 0.875 0.831 [2 per cell]
O5 0.175 0.227 0.176 [2 per cell]
O6 0.196 0.643 0.154 [2 per cell]
O7 0.221 0.746 0.009 [2 per cell]
O8 0.251 0.152 0.044 [2 per cell]
O9 0.275 0.803 0.255 [2 per cell]
O10 0.322 0.166 0.746 [2 per cell]
O11 0.440 0.061 0.269 [2 per cell]
O12 0.489 0.044 0.891 [2 per cell]

As for the total DFT energy (no corrections): -786.68 eV for the cell shown. For the formation energy, the calculation gives -38.95 eV/f.u. The value obtained for the density is 2.11 Mg/m³.

=====

8.
In2Si2Pb2O9 | PBE | optimized geometry

Unit cell a=10.722 b=11.615 c=7.126 alpha=90.00 beta=90.00 gamma=90.00
Space group Pna2_1 (No. 33)
Asymmetric unit:
In1 0.001 0.249 0.000 [4 per cell]
In2 0.249 0.911 0.522 [4 per cell]
Si1 0.244 0.669 0.213 [4 per cell]
Si2 0.250 0.159 0.282 [4 per cell]
Pb1 0.043 0.935 0.057 [4 per cell]
Pb2 0.058 0.455 0.544 [4 per cell]
O1 0.066 0.903 0.629 [4 per cell]
O2 0.070 0.412 0.900 [4 per cell]
O3 0.105 0.161 0.764 [4 per cell]
O4 0.114 0.633 0.681 [4 per cell]
O5 0.170 0.258 0.171 [4 per cell]
O6 0.171 0.770 0.332 [4 per cell]
O7 0.174 0.037 0.309 [4 per cell]
O8 0.179 0.541 0.228 [4 per cell]
O9 0.225 0.714 0.993 [4 per cell]

As for the total DFT energy (no corrections): -392.60 eV for the cell shown. For the formation energy, the calculation gives -36.02 eV/f.u. The value obtained for the density is 6.32 Mg/m³.